(1)
DFT (PBE-GGA) results for Fe6SiB after structural relaxation.

abc: 6.898 4.554 5.588
angles: 90.00 90.00 90.00
Space group Pmc2_1 (No. 26)
One atom of each set of equivalent atoms:
Fe1 0.000 0.121 0.000 x2
Fe2 0.181 0.395 0.649 x4
Fe3 0.282 0.121 0.287 x4
Fe4 0.500 0.351 0.969 x2
Si1 0.500 0.169 0.586 x2
B1 0.000 0.327 0.356 x2


(2)
DFT (PBE-GGA) results for MoCl6 after structural relaxation.

abc: 6.4461 6.4461 5.8551
angles: 90.00 90.00 120.00
Space group P-31m (No. 162)
One atom of each set of equivalent atoms:
Mo1 0.0000 0.0000 0.0000 x1
Cl1 0.0000 0.2929 0.2269 x6


(3)
DFT (PBE-GGA) results for Co2NiS4 after structural relaxation.

abc: 9.325 9.325 9.325
angles: 90.00 90.00 90.00
Space group Fd-3m (No. 227, origin choice 2)
One atom of each set of equivalent atoms:
Co1 0.000 0.000 0.000 x16
Ni1 0.125 0.125 0.625 x8
S1 0.009 0.009 0.241 x32


Number 1: formation energy from the elements -0.158 eV/atom. Number 2: formation energy from the elements -1.254 eV/atom. Number 3: formation energy from the elements -0.753 eV/atom.